[1]
A geometry-optimized Gd2SnAu2 structure. Source: the Materials Project, functional r²SCAN.

abc: 7.9584 7.9584 3.7942
angles: 90.00 90.00 90.00
With the nearest neighbours (Å) after each atom.
Space group P4/mbm (No. 127)
Symmetry-distinct sites (fractional):
Gd 0.1719 0.3281 0.0000 x4  6 Au 2.96-3.06
Sn 0.0000 0.0000 0.5000 x2  4 Au 3.14, 8 Gd 3.51
Au 0.1261 0.6261 0.5000 x4  1 Au 2.84, 6 Gd 2.96-3.06, 2 Sn 3.14

Output
Crystal system: tetragonal
Total DFT energy (no corrections) in eV for the cell shown: -434.144
Calculated volume in Å³ per cell: 240.31
Total magnetic moment in μB per atom: 2.87
Energy relative to the elements in meV/atom: -872.4

***

[2]
A geometry-optimized Ni3S4 structure. Source: the Materials Project, functional r²SCAN.

abc: 9.3873 9.3873 9.3873
angles: 90.00 90.00 90.00
With the nearest neighbours (Å) after each atom.
Space group Fd-3m (No. 227, origin choice 2)
Symmetry-distinct sites (fractional):
Ni 0.0000 0.0000 0.0000 x16  6 S 2.27
Ni 0.1250 0.1250 0.6250 x8  4 S 2.17
S 0.0082 0.0082 0.2418 x32  4 Ni 2.17-2.27

Output
Crystal system: cubic
Total DFT energy (no corrections) in eV for the cell shown: -570.619
Calculated volume in Å³ per cell: 827.22
Total magnetic moment in μB per atom: 0.00
Energy relative to the elements in meV/atom: -463.7

***

[3]
A geometry-optimized SrEuSi4 structure. Source: the Materials Project, functional r²SCAN.

abc: 4.3731 4.3731 13.7229
angles: 90.00 90.00 90.00
With the nearest neighbours (Å) after each atom.
Space group I-4m2 (No. 119)
Symmetry-distinct sites (fractional):
Sr 0.0000 0.0000 0.0000 x2  12 Si 3.16-3.31
Eu 0.0000 0.5000 0.7500 x2  12 Si 3.14-3.30
Si 0.0000 0.0000 0.4147 x4  3 Si 2.34-2.46
Si 0.0000 0.5000 0.1667 x4  3 Si 2.29-2.46

Output
Crystal system: tetragonal
Total DFT energy (no corrections) in eV for the cell shown: -183.187
Calculated volume in Å³ per cell: 262.44
Total magnetic moment in μB per atom: 1.14
Energy relative to the elements in meV/atom: -471.9

***

> What is the calculated volume in the first record?

240.31 Å³ per cell

***

> Look up the total magnetic moment of the third one.

1.14 μB per atom